Computed, not measured: NaMg14CO16 after structural relaxation at the PBE level of DFT.

Cell lengths 8.4998, 8.4998, 4.2686 Å; angles 90.00, 90.00, 90.00 degrees
Positions (direct):
Na: 0.0000 0.0000 0.0000
Mg: 0.0000 0.2462 0.5000
Mg: 0.0000 0.5000 0.0000
Mg: 0.0000 0.7538 0.5000
Mg: 0.2462 0.0000 0.5000
Mg: 0.2479 0.2479 0.0000
Mg: 0.2479 0.7521 0.0000
Mg: 0.2529 0.5000 0.5000
Mg: 0.5000 0.0000 0.0000
Mg: 0.5000 0.2529 0.5000
Mg: 0.5000 0.7471 0.5000
Mg: 0.7471 0.5000 0.5000
Mg: 0.7521 0.2479 0.0000
Mg: 0.7521 0.7521 0.0000
Mg: 0.7538 0.0000 0.5000
C: 0.5000 0.5000 0.0000
O: 0.0000 0.0000 0.5000
O: 0.0000 0.2681 0.0000
O: 0.0000 0.5000 0.5000
O: 0.0000 0.7319 0.0000
O: 0.2520 0.2520 0.5000
O: 0.2520 0.7480 0.5000
O: 0.2681 0.0000 0.0000
O: 0.2721 0.5000 0.0000
O: 0.5000 0.0000 0.5000
O: 0.5000 0.2721 0.0000
O: 0.5000 0.5000 0.5000
O: 0.5000 0.7279 0.0000
O: 0.7279 0.5000 0.0000
O: 0.7319 0.0000 0.0000
O: 0.7480 0.2520 0.5000
O: 0.7480 0.7480 0.5000

Distance to the lowest polymorph of the same formula = 19.6 meV per atom